Entry 1:
Material: DyFeO3
Method: DFT, GGA+U
State: optimized geometry

## Properties
Formation energy from the elements: -14.26 eV per formula unit
Raw total energy: -151.46 eV per cell

Structure (POSCAR):
```
DyFeO3
1.0
5.333 0.000 0.000
0.000 5.656 0.000
0.000 0.000 7.713
Dy O Fe
4 12 4
Direct
0.981 0.069 0.250
0.019 0.931 0.750
0.481 0.431 0.750
0.519 0.569 0.250
0.616 0.043 0.750
0.191 0.194 0.560
0.884 0.543 0.750
0.116 0.457 0.250
0.384 0.957 0.250
0.309 0.694 0.560
0.691 0.306 0.440
0.691 0.306 0.060
0.809 0.806 0.440
0.191 0.194 0.940
0.809 0.806 0.060
0.309 0.694 0.940
0.000 0.500 0.500
0.500 0.000 0.500
0.500 0.000 0.000
0.000 0.500 0.000
```

Entry 2:
Material: Li3CrSi2O7
Method: DFT, GGA+U
State: optimized geometry

## Properties
Formation energy from the elements: -36.01 eV per formula unit
Energy above the most stable polymorph in this dataset: 16 meV per atom
Raw total energy: -360.28 eV per cell
Total magnetization: 12.00 μB/cell

Structure (POSCAR):
```
Li3CrSi2O7
1.0
5.018 0.000 0.000
0.000 8.896 0.000
0.000 0.000 12.475
O Li Cr Si
28 12 4 8
Direct
0.330 0.353 0.887
0.437 0.362 0.129
0.670 0.647 0.387
0.830 0.147 0.387
0.937 0.138 0.871
0.170 0.853 0.887
0.670 0.647 0.113
0.563 0.638 0.629
0.170 0.853 0.613
0.330 0.353 0.613
0.830 0.147 0.113
0.063 0.862 0.371
0.919 0.386 0.750
0.337 0.100 0.039
0.563 0.638 0.871
0.437 0.362 0.371
0.163 0.600 0.039
0.581 0.886 0.750
0.937 0.138 0.629
0.663 0.900 0.539
0.163 0.600 0.461
0.063 0.862 0.129
0.081 0.614 0.250
0.837 0.400 0.961
0.837 0.400 0.539
0.419 0.114 0.250
0.337 0.100 0.461
0.663 0.900 0.961
0.968 0.985 0.750
0.464 0.842 0.410
0.036 0.342 0.090
0.536 0.158 0.910
0.536 0.158 0.590
0.532 0.485 0.750
0.964 0.658 0.910
0.464 0.842 0.090
0.032 0.015 0.250
0.964 0.658 0.590
0.036 0.342 0.410
0.468 0.515 0.250
0.000 0.000 0.000
0.500 0.500 0.500
0.500 0.500 0.000
0.000 0.000 0.500
0.513 0.183 0.370
0.487 0.817 0.630
0.013 0.317 0.870
0.987 0.683 0.370
0.487 0.817 0.870
0.513 0.183 0.130
0.013 0.317 0.630
0.987 0.683 0.130
```

Entry 3:
Material: V4O3F9
Method: DFT, GGA+U
State: optimized geometry

## Properties
Formation energy from the elements: -47.25 eV per formula unit
Energy above the most stable polymorph in this dataset: 2 meV per atom
Raw total energy: -205.28 eV per cell

Structure (POSCAR):
```
V4O3F9
1.0
5.228 0.000 0.000
-2.604 -4.744 0.000
-2.553 1.176 -17.256
F V O
18 8 6
Direct
0.987 0.203 0.565
0.923 0.963 0.287
0.468 0.928 0.811
0.072 0.537 0.210
0.103 0.034 0.708
0.921 0.673 0.581
0.528 0.044 0.188
0.088 0.848 0.915
0.407 0.397 0.834
0.403 0.194 0.040
0.430 0.929 0.335
0.035 0.321 0.942
0.913 0.166 0.088
0.535 0.554 0.684
0.432 0.729 0.538
0.958 0.677 0.062
0.576 0.293 0.463
0.026 0.817 0.436
0.543 0.262 0.751
0.719 0.380 0.128
0.010 0.497 0.493
0.494 0.722 0.254
0.753 0.896 0.627
0.248 0.622 0.875
0.251 0.143 0.374
0.955 0.981 0.998
0.899 0.449 0.792
0.580 0.565 0.166
0.078 0.345 0.421
0.598 0.798 0.959
0.455 0.457 0.312
0.610 0.076 0.667
```

Entry 4:
Material: Li9Mn2Co5O16
Method: DFT, GGA+U
State: optimized geometry

## Properties
Formation energy from the elements: -57.46 eV per formula unit
Energy above the most stable polymorph in this dataset: 69 meV per atom
Raw total energy: -185.16 eV per cell
Total magnetization: 2.92 μB/cell

Structure (POSCAR):
```
Li9Mn2Co5O16
1.0
-1.704 -2.275 1.051
2.178 -1.871 -4.257
15.459 -5.260 10.756
Li O Co Mn
9 16 5 2
Direct
0.431 0.191 0.686
0.687 0.437 0.937
0.500 0.500 0.500
0.938 0.688 0.188
0.569 0.809 0.313
0.310 0.560 0.064
0.186 0.931 0.437
0.063 0.313 0.811
0.814 0.069 0.563
0.680 0.607 0.838
0.805 0.885 0.657
0.385 0.014 0.782
0.605 0.984 0.218
0.109 0.495 0.711
0.057 0.141 0.909
0.270 0.390 0.161
0.542 0.629 0.404
0.695 0.267 0.036
0.458 0.371 0.596
0.318 0.733 0.966
0.885 0.506 0.288
0.838 0.224 0.459
0.998 0.864 0.093
0.161 0.775 0.541
0.193 0.115 0.342
0.634 0.125 0.128
0.120 0.619 0.619
0.251 0.251 0.253
0.742 0.751 0.746
0.879 0.380 0.380
0.365 0.874 0.873
0.011 0.000 0.001
```

Entry 5:
Material: TiFeO3
Method: DFT, GGA+U
State: optimized geometry

## Properties
Formation energy from the elements: -13.49 eV per formula unit
Largest piezoelectric modulus: 3.0 C/m2
Raw total energy: -80.76 eV per cell
Total magnetization: 8.00 μB/cell

Structure (POSCAR):
```
TiFeO3
1.0
-2.932 4.291 0.000
-4.609 -0.001 2.405
-0.046 -0.032 5.521
O Fe Ti
6 2 2
Direct
0.858 0.919 0.689
0.108 0.169 0.189
0.223 0.169 0.688
0.358 0.535 0.189
0.723 0.920 0.188
0.608 0.535 0.688
0.788 0.423 0.366
0.289 0.423 0.866
0.503 0.995 0.507
0.002 0.995 0.007
```

Entry 6:
Material: MgV4Ge4O16
Method: DFT, GGA+U
State: optimized geometry

## Properties
Formation energy from the elements: -53.69 eV per formula unit
Energy above the most stable polymorph in this dataset: 33 meV per atom
Raw total energy: -171.49 eV per cell
Total magnetization: 6.00 μB/cell

Structure (POSCAR):
```
MgV4Ge4O16
1.0
4.332 0.017 -0.298
0.028 4.616 0.175
0.864 0.414 12.868
V O Ge Mg
4 16 4 1
Direct
0.501 0.763 0.070
0.146 0.528 0.560
0.031 0.178 0.396
0.494 0.285 0.947
0.757 0.437 0.062
0.280 0.568 0.181
0.758 0.015 0.718
0.269 0.137 0.830
0.244 0.092 0.062
0.788 0.395 0.286
0.278 0.508 0.405
0.228 0.039 0.282
0.215 0.627 0.716
0.711 0.899 0.410
0.152 0.033 0.538
0.730 0.913 0.181
0.744 0.492 0.837
0.752 0.965 0.945
0.252 0.618 0.945
0.639 0.478 0.593
0.003 0.819 0.829
0.998 0.248 0.169
0.535 0.353 0.732
0.516 0.715 0.300
0.637 0.951 0.568
```

Entry 7:
Material: FeBO3
Method: DFT, GGA+U
State: optimized geometry

## Properties
Formation energy from the elements: -10.84 eV per formula unit
Raw total energy: -146.06 eV per cell
Total magnetization: 0.00 μB/cell

Structure (POSCAR):
```
FeBO3
1.0
4.981 0.000 0.272
0.000 8.658 0.000
-0.669 0.000 5.415
O B Fe
12 4 4
Direct
0.000 0.174 0.750
0.738 0.913 0.734
0.500 0.326 0.250
0.262 0.087 0.265
0.762 0.587 0.265
0.238 0.587 0.234
0.500 0.674 0.750
0.262 0.913 0.765
0.762 0.413 0.765
0.238 0.413 0.734
0.738 0.087 0.234
0.000 0.826 0.250
0.000 0.667 0.250
0.000 0.333 0.750
0.500 0.167 0.250
0.500 0.833 0.750
0.500 0.500 0.500
0.500 0.500 0.000
0.000 0.000 0.500
0.000 0.000 0.000
```

Entry 8:
Material: U7V5Ag3O35
Method: DFT, GGA+U
State: optimized geometry

## Properties
Formation energy from the elements: -143.33 eV per formula unit
Raw total energy: -416.92 eV per cell
Total magnetization: 0.00 μB/cell

Structure (POSCAR):
```
U7V5Ag3O35
1.0
-6.617 3.163 0.140
-3.030 -6.229 -2.510
-1.969 -4.744 14.147
U O Ag V
7 35 3 5
Direct
0.000 0.000 0.142
0.500 0.499 0.999
0.000 0.500 0.438
0.000 0.499 0.725
0.500 0.000 0.562
0.500 0.000 0.276
0.000 0.000 0.856
0.248 0.996 0.850
0.000 0.251 0.151
0.500 0.198 0.995
0.322 0.000 0.134
0.500 0.303 0.563
0.198 0.500 0.006
0.000 0.199 0.430
0.500 0.499 0.125
0.000 0.500 0.566
0.182 0.000 0.293
0.802 0.500 0.006
0.000 0.677 0.867
0.000 0.181 0.707
0.000 0.500 0.312
0.199 0.000 0.569
0.000 0.000 0.002
0.818 0.000 0.293
0.500 0.247 0.274
0.754 0.503 0.725
0.299 0.500 0.436
0.000 0.820 0.707
0.701 0.500 0.436
0.000 0.322 0.867
0.000 0.801 0.430
0.500 0.992 0.685
0.500 0.753 0.274
0.678 0.000 0.134
0.000 0.749 0.151
0.246 0.503 0.725
0.500 0.001 0.433
0.500 0.697 0.563
0.500 0.802 0.995
0.752 0.996 0.850
0.500 0.508 0.876
0.801 0.000 0.569
0.767 0.500 0.208
0.233 0.500 0.208
0.500 0.770 0.792
0.500 0.500 0.500
0.500 0.000 0.056
0.000 0.000 0.633
0.000 0.500 0.943
0.000 0.000 0.367
```

Entry 9:
Material: Li2VFeO5
Method: DFT, GGA+U
State: optimized geometry

## Properties
Formation energy from the elements: -19.64 eV per formula unit
Raw total energy: -116.72 eV per cell
Total magnetization: 10.00 μB/cell

Structure (POSCAR):
```
Li2VFeO5
1.0
-0.219 5.117 4.236
-0.618 -4.235 5.084
4.616 -0.158 0.429
Li O Fe V
4 10 2 2
Direct
0.750 0.250 0.500
0.750 0.750 0.500
0.250 0.250 0.500
0.250 0.750 0.500
0.773 0.000 0.755
0.500 0.000 0.233
0.000 0.227 0.245
0.273 0.500 0.245
0.227 0.000 0.755
0.727 0.500 0.245
0.000 0.500 0.767
0.500 0.727 0.755
0.500 0.273 0.755
0.000 0.773 0.245
0.500 0.500 0.000
0.000 0.000 0.000
0.000 0.500 0.127
0.500 0.000 0.873
```

Entry 10:
Material: K4V5CuClO15
Method: DFT, GGA+U
State: optimized geometry

## Properties
Formation energy from the elements: -58.57 eV per formula unit
Raw total energy: -169.79 eV per cell
Total magnetization: 1.00 μB/cell

Structure (POSCAR):
```
K4V5CuClO15
1.0
-4.055 -3.629 7.141
3.301 -8.049 -2.216
4.604 1.025 3.135
V O K Cu Cl
5 15 4 1 1
Direct
0.630 0.138 0.897
0.370 0.862 0.897
0.862 0.630 0.897
0.138 0.370 0.897
0.500 0.500 0.860
0.093 0.196 0.798
0.500 0.500 0.146
0.000 0.500 0.778
0.141 0.380 0.191
0.500 0.000 0.778
0.380 0.859 0.191
0.686 0.584 0.771
0.859 0.620 0.191
0.907 0.804 0.798
0.196 0.907 0.798
0.620 0.141 0.191
0.584 0.314 0.771
0.804 0.093 0.798
0.416 0.686 0.771
0.314 0.416 0.771
0.154 0.687 0.425
0.313 0.154 0.425
0.687 0.846 0.425
0.846 0.313 0.425
0.000 0.000 0.844
0.000 0.000 0.296
```

Entry 11:
Material: MnP2O7
Method: DFT, GGA+U
State: optimized geometry

## Properties
Formation energy from the elements: -23.77 eV per formula unit
Energy above the most stable polymorph in this dataset: 6 meV per atom
Raw total energy: -287.69 eV per cell

Structure (POSCAR):
```
MnP2O7
1.0
-0.639 -4.155 -5.027
2.461 -3.453 2.541
-13.176 -5.120 5.907
O P Mn
28 8 4
Direct
0.007 0.155 0.748
0.352 0.955 0.589
0.193 0.457 0.318
0.255 0.936 0.372
0.090 0.441 0.139
0.829 0.651 0.021
0.910 0.559 0.861
0.245 0.936 0.872
0.063 0.290 0.589
0.437 0.290 0.089
0.410 0.441 0.639
0.171 0.349 0.979
0.993 0.845 0.252
0.148 0.955 0.089
0.671 0.651 0.521
0.937 0.710 0.411
0.307 0.457 0.818
0.852 0.045 0.911
0.563 0.710 0.911
0.648 0.045 0.411
0.745 0.064 0.628
0.507 0.845 0.752
0.493 0.155 0.248
0.329 0.349 0.479
0.755 0.064 0.128
0.590 0.559 0.361
0.807 0.543 0.682
0.693 0.543 0.182
0.398 0.738 0.833
0.197 0.254 0.073
0.602 0.262 0.167
0.803 0.746 0.927
0.102 0.738 0.333
0.898 0.262 0.667
0.303 0.254 0.573
0.697 0.746 0.427
0.582 0.749 0.635
0.918 0.749 0.135
0.418 0.251 0.365
0.082 0.251 0.865
```

Entry 12:
Material: VF5
Method: DFT, GGA+U
State: optimized geometry

## Properties
Formation energy from the elements: -16.77 eV per formula unit
Raw total energy: -125.65 eV per cell

Structure (POSCAR):
```
VF5
1.0
3.930 -4.502 0.000
3.930 4.502 0.000
0.000 0.000 11.224
F V
20 4
Direct
0.415 0.108 0.348
0.085 0.392 0.848
0.214 0.214 0.038
0.786 0.786 0.962
0.001 0.001 0.704
0.585 0.892 0.652
0.868 0.132 0.500
0.632 0.368 0.000
0.499 0.499 0.204
0.286 0.286 0.538
0.999 0.999 0.296
0.368 0.632 0.000
0.108 0.415 0.348
0.915 0.608 0.152
0.392 0.085 0.848
0.501 0.501 0.796
0.132 0.868 0.500
0.608 0.915 0.152
0.714 0.714 0.462
0.892 0.585 0.652
0.841 0.841 0.592
0.341 0.341 0.908
0.159 0.159 0.408
0.659 0.659 0.092
```

> Among the records above, which one has the lowest raw total energy?

U7V5Ag3O35

> Which of these has the highest formation energy from the elements?

FeBO3